The following is a PBE with a Hubbard U calculation of an optimized crystal structure of Li2Mg11W12O48, from the Materials Project. Values from VASP.

Structure (Quantum ESPRESSO input):
```
&SYSTEM
  ibrav = 0, nat = 146, ntyp = 4
/
ATOMIC_SPECIES
Li 6.94 Li.upf
Mg 24.30 Mg.upf
W 183.84 W.upf
O 16.00 O.upf
CELL_PARAMETERS angstrom
10.792 0.000 0.000
0.000 10.513 0.000
0.000 0.161 17.847
ATOMIC_POSITIONS angstrom
Li 5.396 4.121 12.645
Li 0.000 6.594 5.234
Li 5.396 9.344 12.650
Li 0.000 10.102 13.401
Mg 5.396 0.572 4.471
Mg 1.852 1.434 8.414
Mg 8.940 1.434 8.414
Mg 7.301 1.419 17.285
Mg 3.491 1.419 17.285
Mg 0.000 2.348 13.381
Mg 5.396 3.198 4.440
Mg 1.850 3.978 0.503
Mg 8.942 3.978 0.503
Mg 7.304 3.978 9.490
Mg 3.488 3.978 9.490
Mg 5.396 5.826 4.469
Mg 1.873 6.684 8.422
Mg 8.919 6.684 8.422
Mg 3.488 6.678 17.285
Mg 7.304 6.678 17.285
Mg 0.000 7.305 13.421
Mg 5.396 8.461 4.448
Mg 8.927 9.258 0.500
Mg 1.865 9.258 0.500
Mg 7.309 9.251 9.472
Mg 3.483 9.251 9.472
W 0.000 1.313 16.841
W 7.805 1.263 11.741
W 2.987 1.263 11.741
W 2.450 1.475 2.797
W 8.342 1.475 2.797
W 5.396 1.545 7.917
W 0.000 3.879 9.906
W 2.963 3.950 15.045
W 7.829 3.950 15.045
W 2.437 4.176 6.134
W 8.355 4.176 6.134
W 5.396 4.108 1.013
W 0.000 6.584 16.890
W 7.759 6.538 11.727
W 3.033 6.538 11.727
W 2.451 6.745 2.794
W 8.341 6.745 2.794
W 5.396 6.804 7.906
W 0.000 9.116 9.936
W 2.932 9.191 15.023
W 7.860 9.191 15.023
W 2.416 9.408 6.109
W 8.376 9.408 6.109
W 5.396 9.366 1.014
O 1.540 0.317 6.782
O 9.252 0.317 6.782
O 5.396 0.496 17.768
O 7.939 0.415 1.295
O 2.853 0.415 1.295
O 6.832 0.506 8.300
O 3.960 0.506 8.300
O 1.481 0.441 3.830
O 9.311 0.441 3.830
O 9.389 0.947 12.588
O 1.403 0.947 12.588
O 0.000 0.939 15.089
O 5.396 1.906 6.126
O 6.752 1.885 3.680
O 4.040 1.885 3.680
O 1.451 2.344 17.247
O 9.341 2.344 17.247
O 2.578 2.256 10.195
O 8.214 2.256 10.195
O 6.798 2.385 12.654
O 3.994 2.385 12.654
O 0.000 2.380 8.802
O 6.900 2.545 15.709
O 3.892 2.545 15.709
O 1.540 2.899 2.168
O 9.252 2.899 2.168
O 5.396 3.044 8.993
O 6.831 3.068 0.638
O 3.961 3.068 0.638
O 7.957 3.130 7.634
O 2.835 3.130 7.634
O 1.458 3.128 5.148
O 9.334 3.128 5.148
O 0.000 3.394 11.605
O 1.456 3.408 14.242
O 9.336 3.408 14.242
O 5.396 4.513 2.801
O 6.759 4.525 5.239
O 4.033 4.525 5.239
O 1.475 4.905 9.536
O 9.317 4.905 9.536
O 6.842 4.937 13.933
O 3.950 4.937 13.933
O 2.542 5.016 16.560
O 8.250 5.016 16.560
O 0.000 4.899 0.116
O 6.854 5.049 11.110
O 3.938 5.049 11.110
O 1.495 5.635 6.722
O 9.297 5.635 6.722
O 5.396 5.759 17.772
O 7.954 5.666 1.320
O 2.838 5.666 1.320
O 6.838 5.763 8.275
O 3.954 5.763 8.275
O 1.422 5.787 3.864
O 9.370 5.787 3.864
O 1.464 6.217 12.538
O 9.328 6.217 12.538
O 0.000 6.212 15.157
O 5.396 7.166 6.116
O 6.754 7.145 3.677
O 4.038 7.145 3.677
O 1.459 7.622 17.270
O 9.333 7.622 17.270
O 2.597 7.531 10.181
O 8.195 7.531 10.181
O 6.787 7.681 12.666
O 4.005 7.681 12.666
O 0.000 7.623 8.821
O 6.932 7.790 15.685
O 3.860 7.790 15.685
O 1.560 8.172 2.169
O 9.232 8.172 2.169
O 5.396 8.296 8.990
O 6.829 8.318 0.637
O 3.963 8.318 0.637
O 7.940 8.386 7.614
O 2.852 8.386 7.614
O 1.398 8.292 5.198
O 9.394 8.292 5.198
O 0.000 8.695 11.670
O 1.381 8.716 14.193
O 9.411 8.716 14.193
O 5.396 9.760 2.801
O 6.770 9.771 5.232
O 4.022 9.771 5.232
O 1.458 10.155 9.557
O 9.334 10.155 9.557
O 6.854 10.191 13.950
O 3.938 10.191 13.950
O 8.248 10.260 16.534
O 2.544 10.260 16.534
O 0.000 10.158 0.086
O 6.881 10.308 11.122
O 3.911 10.308 11.122
```

## Properties
* space group: Pm (6)
* calculated formation energy: -236.1 kJ/mol of atoms
* calculated volume: 2025 Å³ per cell
* total DFT energy (no corrections): -6.942 eV/atom